Computed, not measured: a relaxed Li3ErBr6 crystal at the r²SCAN level of DFT.

Cell: 6.832 11.791 13.027 Å, 90.00 99.86 90.00°
Space group C2/c (No. 15)
Inequivalent atoms, fractional coordinates:
Li 0.000 0.090 0.250
Li 0.242 0.081 0.000
Er 0.250 0.250 0.500
Br 0.123 0.082 0.621
Br 0.124 0.246 0.121
Br 0.133 0.419 0.622

Properties
- Total magnetic moment: 0.0 μB per cell
- Offset from the most stable computed form: 0.002 eV per atom
- Volume: 25.8 A^3/atom

=====

Computed, not measured: a relaxed Te2Ir crystal at the r²SCAN level of DFT.

Cell: 13.497 4.020 5.418 Å, 90.00 90.00 90.00°
Space group Pnma (No. 62)
Inequivalent atoms, fractional coordinates:
Te 0.050 0.250 0.236
Te 0.193 0.250 0.705
Ir 0.134 0.750 0.984

Properties
- DFT total energy: -34.746 eV per atom
- Total magnetic moment: 0.0 μB per cell
- Volume: 24.5 A^3/atom

=====

Computed, not measured: a relaxed Dy5Pt3 crystal at the r²SCAN level of DFT.

Cell: 8.4135 8.4135 6.1442 Å, 90.00 90.00 120.00°
Space group P6_3/mcm (No. 193)
Inequivalent atoms, fractional coordinates:
Dy 0.0000 0.2472 0.2500
Dy 0.3333 0.6667 0.0000
Pt 0.0000 0.3940 0.7500

Properties
- DFT total energy: -40.403 eV per atom
- Total magnetic moment: 0.0 μB per cell
- Volume: 23.5 A^3/atom